Material: LiFe4B4O12
Method: DFT, GGA+U
State: optimized geometry

## Properties
* distance to the lowest polymorph of the same formula: 0.008 eV per atom
* calculated volume: 244 Å³/f.u.
* calculated formation energy: -2225.7 meV/atom

Cell: 5.312 9.045 11.420 Å, 66.79 76.68 89.83°
Element x y z (fractional)
Li  0.000  0.000  0.000
Li  0.251  0.241  0.494
Fe  0.158  0.527  0.279
Fe  0.216  0.887  0.529
Fe  0.418  0.440  0.780
Fe  0.472  0.815  0.031
Fe  0.666  0.019  0.279
Fe  0.720  0.393  0.533
Fe  0.901  0.933  0.782
Fe  0.970  0.322  0.030
B  0.163  0.182  0.284
B  0.216  0.556  0.532
B  0.416  0.776  0.776
B  0.457  0.152  0.029
B  0.671  0.687  0.278
B  0.706  0.061  0.528
B  0.914  0.270  0.790
B  0.969  0.649  0.030
O  0.000  0.123  0.802
O  0.038  0.367  0.835
O  0.111  0.698  0.519
O  0.127  0.453  0.482
O  0.173  0.637  0.088
O  0.200  0.829  0.722
O  0.236  0.310  0.306
O  0.286  0.039  0.326
O  0.340  0.020  0.029
O  0.353  0.301  0.988
O  0.416  0.510  0.593
O  0.449  0.683  0.235
O  0.508  0.634  0.786
O  0.534  0.877  0.818
O  0.583  0.190  0.531
O  0.606  0.956  0.481
O  0.692  0.143  0.072
O  0.706  0.322  0.738
O  0.778  0.832  0.265
O  0.790  0.548  0.327
O  0.857  0.519  0.024
O  0.881  0.804  0.976
O  0.940  0.027  0.570
O  0.956  0.185  0.226